[1]
A plane-wave DFT calculation with PBE was carried out for a relaxed structure of Y2NiIr.

abc: 4.838 4.838 4.838
angles: 60.00 60.00 60.00
Atoms (fractional coordinates):
1 Y 0.250 0.250 0.250
2 Y 0.750 0.750 0.750
3 Ni 0.000 0.000 0.000
4 Ir 0.500 0.500 0.500

Output
Space-group type = Fm-3m
ΔE_f = -0.63 eV per atom

***

[2]
A plane-wave DFT calculation with PBE was carried out for a relaxed structure of Na2SnH14S3O7.

abc: 7.231 9.728 10.322
angles: 92.45 92.07 107.49
Atoms (fractional coordinates):
1 Na 0.195 0.142 0.553
2 Na 0.805 0.858 0.447
3 Na 0.405 0.029 0.847
4 Na 0.595 0.971 0.153
5 Sn 0.073 0.412 0.120
6 Sn 0.927 0.588 0.880
7 H 0.060 0.073 0.285
8 H 0.940 0.927 0.715
9 H 0.240 0.749 0.230
10 H 0.760 0.251 0.770
11 H 0.078 0.667 0.433
12 H 0.922 0.333 0.567
13 H 0.453 0.316 0.748
14 H 0.547 0.684 0.252
15 H 0.565 0.353 0.500
16 H 0.435 0.647 0.500
17 H 0.330 0.159 0.080
18 H 0.670 0.841 0.920
19 H 0.448 0.336 0.368
20 H 0.552 0.664 0.632
21 H 0.554 0.098 0.393
22 H 0.446 0.902 0.607
23 H 0.042 0.358 0.442
24 H 0.958 0.642 0.558
25 H 0.258 0.299 0.813
26 H 0.742 0.701 0.187
27 H 0.775 0.137 0.408
28 H 0.225 0.863 0.592
29 H 0.551 0.240 0.064
30 H 0.449 0.760 0.936
31 H 0.146 0.947 0.309
32 H 0.854 0.053 0.691
33 H 0.169 0.834 0.120
34 H 0.831 0.166 0.880
35 S 0.010 0.161 0.089
36 S 0.990 0.839 0.911
37 S 0.242 0.538 0.314
38 S 0.758 0.462 0.686
39 S 0.772 0.478 0.078
40 S 0.228 0.522 0.922
41 O 0.660 0.058 0.374
42 O 0.340 0.942 0.626
43 O 0.028 0.719 0.501
44 O 0.972 0.281 0.499
45 O 0.472 0.282 0.440
46 O 0.528 0.718 0.560
47 O 0.083 0.011 0.355
48 O 0.917 0.989 0.645
49 O 0.251 0.847 0.201
50 O 0.749 0.153 0.799
51 O 0.326 0.245 0.761
52 O 0.674 0.755 0.239
53 O 0.457 0.143 0.063
54 O 0.543 0.857 0.937

Output
Space-group type = P-1
ΔE_f = -1.22 eV per atom

***

[3]
A plane-wave DFT calculation with PBE was carried out for a relaxed structure of Y8Te3.

abc: 15.810 15.810 24.583
angles: 57.50 57.50 14.81
Atoms (fractional coordinates):
1 Y 0.489 0.489 0.432
2 Y 0.511 0.511 0.568
3 Y 0.666 0.666 0.155
4 Y 0.334 0.334 0.845
5 Y 0.792 0.792 0.133
6 Y 0.208 0.208 0.867
7 Y 0.126 0.126 0.068
8 Y 0.874 0.874 0.932
9 Y 0.803 0.803 0.751
10 Y 0.197 0.197 0.249
11 Y 0.935 0.935 0.056
12 Y 0.065 0.065 0.944
13 Y 0.908 0.908 0.411
14 Y 0.092 0.092 0.589
15 Y 0.829 0.829 0.341
16 Y 0.171 0.171 0.659
17 Y 0.780 0.780 0.605
18 Y 0.220 0.220 0.395
19 Y 0.920 0.920 0.573
20 Y 0.080 0.080 0.427
21 Y 0.265 0.265 0.039
22 Y 0.735 0.735 0.961
23 Y 0.954 0.954 0.720
24 Y 0.046 0.046 0.280
25 Y 0.701 0.701 0.529
26 Y 0.299 0.299 0.471
27 Y 0.349 0.349 0.199
28 Y 0.651 0.651 0.801
29 Y 0.509 0.509 0.090
30 Y 0.491 0.491 0.910
31 Y 0.440 0.440 0.282
32 Y 0.560 0.560 0.718
33 Te 0.630 0.630 0.472
34 Te 0.370 0.370 0.528
35 Te 0.372 0.372 0.031
36 Te 0.628 0.628 0.969
37 Te 0.928 0.928 0.192
38 Te 0.072 0.072 0.808
39 Te 0.555 0.555 0.177
40 Te 0.445 0.445 0.823
41 Te 0.606 0.606 0.314
42 Te 0.394 0.394 0.686
43 Te 0.759 0.759 0.280
44 Te 0.241 0.241 0.720

Output
Space-group type = C2/m
ΔE_f = -0.85 eV per atom

***

[4]
A plane-wave DFT calculation with PBE was carried out for a relaxed structure of Tm2TiO5.

abc: 6.336 6.336 7.501
angles: 68.69 68.69 49.05
Atoms (fractional coordinates):
1 Tm 0.369 0.355 0.749
2 Tm 0.355 0.369 0.249
3 Tm 0.645 0.631 0.751
4 Tm 0.631 0.645 0.251
5 Ti 0.000 0.000 0.500
6 Ti 0.000 0.000 0.000
7 O 0.248 0.608 0.955
8 O 0.608 0.248 0.455
9 O 0.973 0.686 0.641
10 O 0.314 0.027 0.859
11 O 0.686 0.973 0.141
12 O 0.027 0.314 0.359
13 O 0.392 0.752 0.545
14 O 0.828 0.172 0.750
15 O 0.752 0.392 0.045
16 O 0.172 0.828 0.250

Output
Excess energy over the best structure of this formula in the dataset = 80.8 meV/atom
Space-group type = C2/c
ΔE_f = -3.84 eV per atom

***

[5]
A plane-wave DFT calculation with PBE was carried out for a relaxed structure of YTa3O9.

abc: 6.480 7.656 12.616
angles: 90.00 90.00 90.00
Atoms (fractional coordinates):
1 Y 0.058 0.250 0.464
2 Y 0.442 0.750 0.964
3 Y 0.558 0.250 0.036
4 Y 0.942 0.750 0.536
5 Ta 0.000 0.000 0.000
6 Ta 0.000 0.500 0.000
7 Ta 0.203 0.003 0.713
8 Ta 0.203 0.497 0.713
9 Ta 0.297 0.503 0.213
10 Ta 0.297 0.997 0.213
11 Ta 0.500 0.000 0.500
12 Ta 0.500 0.500 0.500
13 Ta 0.703 0.003 0.787
14 Ta 0.703 0.497 0.787
15 Ta 0.797 0.503 0.287
16 Ta 0.797 0.997 0.287
17 O 0.014 0.043 0.843
18 O 0.014 0.457 0.843
19 O 0.074 0.750 0.973
20 O 0.106 0.036 0.332
21 O 0.106 0.464 0.332
22 O 0.162 0.250 0.671
23 O 0.200 0.750 0.694
24 O 0.205 0.531 0.536
25 O 0.205 0.969 0.536
26 O 0.295 0.031 0.036
27 O 0.295 0.469 0.036
28 O 0.300 0.250 0.194
29 O 0.338 0.750 0.171
30 O 0.394 0.536 0.832
31 O 0.394 0.964 0.832
32 O 0.426 0.250 0.473
33 O 0.486 0.543 0.343
34 O 0.486 0.957 0.343
35 O 0.514 0.043 0.657
36 O 0.514 0.457 0.657
37 O 0.574 0.750 0.527
38 O 0.606 0.036 0.168
39 O 0.606 0.464 0.168
40 O 0.662 0.250 0.829
41 O 0.700 0.750 0.806
42 O 0.705 0.531 0.964
43 O 0.705 0.969 0.964
44 O 0.795 0.031 0.464
45 O 0.795 0.469 0.464
46 O 0.800 0.250 0.306
47 O 0.838 0.750 0.329
48 O 0.894 0.536 0.668
49 O 0.894 0.964 0.668
50 O 0.926 0.250 0.027
51 O 0.986 0.543 0.157
52 O 0.986 0.957 0.157

Output
Excess energy over the best structure of this formula in the dataset = 23.7 meV/atom
Space-group type = Pnma
ΔE_f = -3.49 eV per atom

***

[6]
A plane-wave DFT calculation with PBE was carried out for a relaxed structure of KMg6SbO8.

abc: 8.994 4.577 4.577
angles: 90.00 90.00 90.00
Atoms (fractional coordinates):
1 K 0.000 0.000 0.000
2 Mg 0.000 0.500 0.500
3 Mg 0.500 0.500 0.500
4 Mg 0.232 0.000 0.500
5 Mg 0.768 0.000 0.500
6 Mg 0.232 0.500 0.000
7 Mg 0.768 0.500 0.000
8 Sb 0.500 0.000 0.000
9 O 0.262 0.000 0.000
10 O 0.738 0.000 0.000
11 O 0.252 0.500 0.500
12 O 0.748 0.500 0.500
13 O 0.000 0.000 0.500
14 O 0.500 0.000 0.500
15 O 0.000 0.500 0.000
16 O 0.500 0.500 0.000

Output
Excess energy over the best structure of this formula in the dataset = 74.9 meV/atom
Space-group type = P4/mmm
ΔE_f = -2.35 eV per atom